(1)
A relaxed structure of Ni3O4. Source: the Materials Project, functional GGA+U.

Unit cell a=19.2580 b=2.9025 c=5.0945 alpha=90.00 beta=92.15 gamma=90.00
Space group C2/m (No. 12)
Asymmetric unit:
Ni (0.0000, 0.0000, 0.0000) x2
Ni (0.0000, 0.5000, 0.5000) x2
Ni (0.1262, 0.0000, 0.3673) x4
Ni (0.2428, 0.0000, 0.7513) x4
O (0.0515, 0.0000, 0.6485) x4
O (0.0575, 0.5000, 0.2093) x4
O (0.1896, 0.5000, 0.5464) x4
O (0.1992, 0.0000, 0.0986) x4

uncorrected energy = -4.83 eV/atom
total magnetic moment = 16.01 Bohr magnetons per cell
energy above the most stable polymorph in this dataset = 0.0412 eV/atom
DFT formation energy = -1.006 eV/atom
energy with MP2020 corrections = -6.310 eV per atom


(2)
A relaxed structure of NiO2. Source: the Materials Project, functional GGA+U.

Unit cell a=2.7502 b=4.1621 c=7.6109 alpha=90.00 beta=90.00 gamma=90.00
Space group Immm (No. 71)
Asymmetric unit:
Ni (0.0000, 0.0000, 0.0000) x2
O (0.0000, 0.5000, 0.3488) x4

uncorrected energy = -4.15 eV/atom
total magnetic moment = 4.00 Bohr magnetons per cell
DFT formation energy = -0.233 eV/atom
energy with MP2020 corrections = -5.458 eV per atom


(3)
A relaxed structure of NiO2. Source: the Materials Project, functional GGA+U.

Unit cell a=9.9614 b=5.7434 c=18.8197 alpha=90.00 beta=100.78 gamma=90.00
Space group Cm (No. 8)
Asymmetric unit:
Ni (0.0000, 0.0000, 0.0000) x2
Ni (0.0017, 0.5000, 0.4954) x2
Ni (0.0981, 0.5000, 0.7791) x2
Ni (0.1959, 0.0000, 0.5622) x2
Ni (0.2224, 0.2531, 0.9039) x4
Ni (0.2226, 0.2501, 0.4030) x4
Ni (0.2465, 0.5000, 0.2421) x2
Ni (0.2494, 0.0000, 0.7489) x2
Ni (0.3493, 0.0000, 0.0315) x2
Ni (0.4448, 0.0000, 0.3132) x2
Ni (0.4709, 0.2489, 0.1566) x4
Ni (0.4706, 0.2521, 0.6501) x4
O (0.0162, 0.5000, 0.0978) x2
O (0.0206, 0.0000, 0.1020) x2
O (0.0237, 0.5000, 0.5962) x2
O (0.0317, 0.0000, 0.5961) x2
O (0.0458, 0.2454, 0.3461) x4
O (0.0539, 0.2805, 0.8430) x4
O (0.1392, 0.2643, 0.7171) x4
O (0.1443, 0.2431, 0.2139) x4
O (0.1625, 0.5000, 0.4578) x2
O (0.1668, 0.5000, 0.9550) x2
O (0.1734, 0.0000, 0.4616) x2
O (0.1742, 0.0000, 0.9627) x2
O (0.2674, 0.5000, 0.8453) x2
O (0.2709, 0.0000, 0.8509) x2
O (0.2711, 0.5000, 0.3439) x2
O (0.2827, 0.0000, 0.3488) x2
O (0.2981, 0.2585, 0.5922) x4
O (0.3036, 0.2235, 0.0935) x4
O (0.3889, 0.2361, 0.9688) x4
O (0.3989, 0.2530, 0.4611) x4
O (0.4137, 0.5000, 0.2095) x2
O (0.4193, 0.0000, 0.2120) x2
O (0.4222, 0.5000, 0.7046) x2
O (0.4240, 0.0000, 0.7125) x2

uncorrected energy = -4.25 eV/atom
total magnetic moment = 2.10 Bohr magnetons per cell
DFT formation energy = -0.328 eV/atom
energy with MP2020 corrections = -5.553 eV per atom


(4)
A relaxed structure of NiO2. Source: the Materials Project, functional GGA+U.

Unit cell a=5.7281 b=5.7281 c=13.8736 alpha=90.00 beta=90.00 gamma=120.00
Space group R3m (No. 160, hexagonal axes)
Asymmetric unit:
Ni (0.0000, 0.0000, 0.0000) x3
Ni (0.1694, 0.3388, 0.2133) x9
O (0.0000, 0.0000, 0.1370) x3
O (0.0000, 0.0000, 0.6188) x3
O (0.0335, 0.5168, 0.1414) x9
O (0.1746, 0.3491, 0.9525) x9

uncorrected energy = -4.41 eV/atom
total magnetic moment = 15.84 Bohr magnetons per cell
DFT formation energy = -0.488 eV/atom
energy with MP2020 corrections = -5.714 eV per atom


(5)
A relaxed structure of NiO2. Source: the Materials Project, functional GGA+U.

Unit cell a=9.5442 b=9.5442 c=2.8432 alpha=90.00 beta=90.00 gamma=90.00
Space group I4/m (No. 87)
Asymmetric unit:
Ni (0.1495, 0.3328, 0.0000) x8
O (0.0444, 0.6768, 0.0000) x8
O (0.1525, 0.2034, 0.5000) x8

uncorrected energy = -4.54 eV/atom
total magnetic moment = 0.00 Bohr magnetons per cell
DFT formation energy = -0.616 eV/atom
energy with MP2020 corrections = -5.842 eV per atom


(6)
A relaxed structure of Ni15O16. Source: the Materials Project, functional GGA+U.

Unit cell a=5.9465 b=5.9465 c=29.0698 alpha=90.00 beta=90.00 gamma=120.00
Space group R-3m (No. 166, hexagonal axes)
Asymmetric unit:
Ni (0.0000, 0.0000, 0.0000) x3
Ni (0.0000, 0.0000, 0.2502) x6
Ni (0.0000, 0.5000, 0.0000) x9
Ni (0.0000, 0.5000, 0.5000) x9
Ni (0.0063, 0.5031, 0.2476) x18
O (0.0000, 0.0000, 0.1250) x6
O (0.0000, 0.0000, 0.3750) x6
O (0.0017, 0.5008, 0.6251) x18
O (0.0193, 0.5097, 0.8772) x18

uncorrected energy = -4.92 eV/atom
total magnetic moment = 0.00 Bohr magnetons per cell
energy above the most stable polymorph in this dataset = 0.0000 eV/atom
DFT formation energy = -1.153 eV/atom
energy with MP2020 corrections = -6.503 eV per atom


(7)
A relaxed structure of Ni15O16. Source: the Materials Project, functional GGA+U.

Unit cell a=8.4025 b=8.4025 c=8.4025 alpha=90.00 beta=90.00 gamma=90.00
Space group Im-3m (No. 229)
Asymmetric unit:
Ni (0.0000, 0.0000, 0.5000) x6
Ni (0.0000, 0.2459, 0.2459) x24
O (0.0000, 0.0000, 0.2692) x12
O (0.0000, 0.2500, 0.5000) x12
O (0.2500, 0.2500, 0.2500) x8

uncorrected energy = -4.91 eV/atom
total magnetic moment = 56.00 Bohr magnetons per cell
energy above the most stable polymorph in this dataset = 0.0114 eV/atom
DFT formation energy = -1.141 eV/atom
energy with MP2020 corrections = -6.492 eV per atom


(8)
A relaxed structure of NiO2. Source: the Materials Project, functional GGA+U.

Unit cell a=2.7998 b=2.7998 c=14.3834 alpha=90.00 beta=90.00 gamma=120.00
Space group R-3m (No. 166, hexagonal axes)
Asymmetric unit:
Ni (0.0000, 0.0000, 0.0000) x3
O (0.0000, 0.0000, 0.2680) x6

uncorrected energy = -4.60 eV/atom
total magnetic moment = 0.00 Bohr magnetons per cell
DFT formation energy = -0.684 eV/atom
energy with MP2020 corrections = -5.910 eV per atom


(9)
A relaxed structure of NiO3. Source: the Materials Project, functional GGA+U.

Unit cell a=4.0059 b=6.0509 c=8.3929 alpha=90.00 beta=90.00 gamma=90.00
Space group Cmmm (No. 65)
Asymmetric unit:
Ni (0.0000, 0.0000, 0.0000) x2
O (0.0000, 0.0000, 0.5000) x2
O (0.2500, 0.2500, 0.0000) x4

uncorrected energy = -3.57 eV/atom
total magnetic moment = 7.77 Bohr magnetons per cell
DFT formation energy = 0.440 eV/atom
energy with MP2020 corrections = -4.716 eV per atom


(10)
A relaxed structure of NiO2. Source: the Materials Project, functional GGA+U.

Unit cell a=2.7436 b=5.0149 c=6.6171 alpha=90.00 beta=90.00 gamma=90.00
Space group Immm (No. 71)
Asymmetric unit:
Ni (0.0000, 0.0000, 0.0000) x2
O (0.0000, 0.5000, 0.3205) x4

uncorrected energy = -4.19 eV/atom
total magnetic moment = 4.00 Bohr magnetons per cell
DFT formation energy = -0.273 eV/atom
energy with MP2020 corrections = -5.499 eV per atom


(11)
A relaxed structure of NiO2. Source: the Materials Project, functional GGA+U.

Unit cell a=5.5619 b=5.8945 c=7.5751 alpha=90.00 beta=90.00 gamma=90.00
Space group Imma (No. 74)
Asymmetric unit:
Ni (0.0000, 0.0000, 0.0000) x4
Ni (0.0000, 0.2500, 0.3772) x4
O (0.0000, 0.0043, 0.7559) x8
O (0.2162, 0.2500, 0.9969) x8

uncorrected energy = -4.27 eV/atom
total magnetic moment = 16.00 Bohr magnetons per cell
DFT formation energy = -0.354 eV/atom
energy with MP2020 corrections = -5.580 eV per atom


(12)
A relaxed structure of NiO2. Source: the Materials Project, functional GGA+U.

Unit cell a=2.9122 b=2.9122 c=10.5553 alpha=90.00 beta=90.00 gamma=120.00
Space group P6_3/mmc (No. 194)
Asymmetric unit:
Ni (0.0000, 0.0000, 0.0000) x2
O (0.3333, 0.6667, 0.0891) x4

uncorrected energy = -4.58 eV/atom
total magnetic moment = 0.01 Bohr magnetons per cell
DFT formation energy = -0.662 eV/atom
energy with MP2020 corrections = -5.887 eV per atom


What did the second record say?
A relaxed structure of NiO2. Source: the Materials Project, functional GGA+U.

Unit cell a=2.7502 b=4.1621 c=7.6109 alpha=90.00 beta=90.00 gamma=90.00
Space group Immm (No. 71)
Asymmetric unit:
Ni (0.0000, 0.0000, 0.0000) x2
O (0.0000, 0.5000, 0.3488) x4

uncorrected energy = -4.15 eV/atom
total magnetic moment = 4.00 Bohr magnetons per cell
DFT formation energy = -0.233 eV/atom
energy with MP2020 corrections = -5.458 eV per atom